Record 1
Density functional theory data (PBE-GGA) for a geometry-optimized CaMnBi2 structure.

Properties
space-group type	P2_1/m
electronic total energy	-5.021	eV per atom

POSCAR file:
```
CaMnBi2
1.0
4.550 0.002 -0.001
0.002 4.538 0.001
-0.001 0.002 10.952
Ca Mn Bi
2 2 4
direct
0.250 0.250 0.261 Ca
0.751 0.750 0.739 Ca
0.250 0.750 0.000 Mn
0.750 0.250 0.000 Mn
0.733 0.250 0.499 Bi
0.268 0.750 0.500 Bi
0.250 0.250 0.844 Bi
0.750 0.750 0.156 Bi
```

---

Record 2
Density functional theory data (PBE-GGA) for a geometry-optimized MgH6N2Cl2 structure.

Properties
space-group type	Imma
electronic total energy	-4.677	eV per atom

POSCAR file:
```
MgH6N2Cl2
1.0
6.515 -1.772 1.543
-2.363 3.841 5.256
-3.529 -5.867 -1.042
Mg H N Cl
2 12 4 4
direct
0.003 0.753 0.250 Mg
0.997 0.247 0.750 Mg
0.582 0.653 0.929 H
0.776 0.347 0.429 H
0.418 0.347 0.071 H
0.224 0.653 0.571 H
0.769 0.934 0.050 H
0.616 0.066 0.334 H
0.616 0.282 0.550 H
0.769 0.718 0.834 H
0.231 0.066 0.950 H
0.384 0.934 0.666 H
0.384 0.718 0.450 H
0.231 0.282 0.166 H
0.750 0.764 0.987 N
0.723 0.236 0.487 N
0.250 0.236 0.013 N
0.277 0.764 0.513 N
0.215 0.709 0.994 Cl
0.785 0.291 0.006 Cl
0.785 0.779 0.494 Cl
0.215 0.221 0.506 Cl
```

---

Record 3
Density functional theory data (PBE-GGA) for a geometry-optimized CsP2Rh2 structure.

Properties
space-group type	I4/mmm
electronic total energy	-6.027	eV per atom

POSCAR file:
```
CsP2Rh2
1.0
-1.981 1.981 7.271
1.981 -1.981 7.271
1.981 1.981 -7.271
Cs P Rh
1 2 2
direct
0.000 0.000 0.000 Cs
0.337 0.337 0.000 P
0.663 0.663 0.000 P
0.750 0.250 0.500 Rh
0.250 0.750 0.500 Rh
```

---

Record 4
Density functional theory data (PBE-GGA) for a geometry-optimized K2LiTa6P3O24 structure.

Properties
space-group type	P1
electronic total energy	-8.508	eV per atom

POSCAR file:
```
K2LiTa6P3O24
1.0
8.472 0.000 0.000
-2.071 8.224 0.000
-2.072 -2.643 7.789
K Li Ta P O
2 1 6 3 24
direct
0.704 0.087 0.400 K
0.296 0.599 0.913 K
0.566 0.566 0.565 Li
0.351 0.161 0.036 Ta
0.037 0.354 0.163 Ta
0.970 0.844 0.652 Ta
0.161 0.036 0.353 Ta
0.654 0.972 0.846 Ta
0.845 0.652 0.972 Ta
0.724 0.500 0.275 P
0.275 0.724 0.499 P
0.499 0.276 0.724 P
0.974 0.501 0.029 O
0.001 0.848 0.154 O
0.709 0.582 0.131 O
0.208 0.315 0.065 O
0.869 0.418 0.291 O
0.553 0.357 0.238 O
0.755 0.636 0.449 O
0.315 0.066 0.208 O
0.292 0.870 0.420 O
0.236 0.552 0.358 O
0.063 0.205 0.311 O
0.025 0.970 0.497 O
0.789 0.930 0.684 O
0.449 0.753 0.637 O
0.133 0.710 0.584 O
0.932 0.688 0.793 O
0.359 0.236 0.551 O
0.635 0.451 0.754 O
0.582 0.132 0.708 O
0.684 0.789 0.929 O
0.420 0.293 0.870 O
0.848 0.154 0.002 O
0.154 0.000 0.848 O
0.499 0.027 0.972 O
```

---

Record 5
Density functional theory data (PBE-GGA) for a geometry-optimized PmSmTl2 structure.

Properties
space-group type	Fm-3m
electronic total energy	-3.935	eV per atom

POSCAR file:
```
PmSmTl2
1.0
0.000 3.873 3.873
3.873 0.000 3.873
3.873 3.873 0.000
Pm Sm Tl
1 1 2
direct
0.500 0.500 0.500 Pm
0.000 0.000 0.000 Sm
0.750 0.750 0.750 Tl
0.250 0.250 0.250 Tl
```

---

Record 6
Density functional theory data (PBE-GGA) for a geometry-optimized YThCo10 structure.

Properties
space-group type	Pmmm
electronic total energy	-7.204	eV per atom

POSCAR file:
```
YThCo10
1.0
-1.688 -3.038 -1.934
4.304 -2.370 -0.034
-1.955 -3.655 7.449
Y Th Co
1 1 10
direct
0.000 0.500 0.500 Y
0.000 0.000 0.000 Th
0.000 0.000 0.332 Co
0.000 0.500 0.834 Co
0.000 0.500 0.166 Co
0.000 0.000 0.668 Co
0.500 0.000 0.500 Co
0.500 0.500 0.000 Co
0.500 0.252 0.253 Co
0.500 0.748 0.747 Co
0.500 0.748 0.253 Co
0.500 0.252 0.747 Co
```

---

Record 7
Density functional theory data (PBE-GGA) for a geometry-optimized CsMg14V structure.

Properties
space-group type	Amm2
electronic total energy	-1.758	eV per atom

POSCAR file:
```
CsMg14V
1.0
6.460 -0.041 0.000
-3.265 5.656 0.000
0.000 0.000 10.741
Cs Mg V
1 14 1
direct
0.158 0.829 0.125 Cs
0.164 0.332 0.625 Mg
0.168 0.834 0.625 Mg
0.662 0.333 0.125 Mg
0.667 0.330 0.625 Mg
0.662 0.829 0.125 Mg
0.667 0.838 0.625 Mg
0.337 0.180 0.389 Mg
0.337 0.180 0.861 Mg
0.337 0.657 0.389 Mg
0.337 0.657 0.861 Mg
0.839 0.170 0.365 Mg
0.839 0.170 0.885 Mg
0.822 0.661 0.398 Mg
0.822 0.661 0.852 Mg
0.183 0.342 0.125 V
```

---

Record 8
Density functional theory data (PBE-GGA) for a geometry-optimized CsDy2Ag3Te5 structure.

Properties
space-group type	Cmcm
electronic total energy	-4.000	eV per atom

POSCAR file:
```
CsDy2Ag3Te5
1.0
4.227 6.910 -2.790
-4.864 -6.833 -1.748
-15.375 10.347 2.333
Cs Dy Ag Te
2 4 6 10
direct
0.558 0.442 0.250 Cs
0.442 0.558 0.750 Cs
0.692 0.308 0.906 Dy
0.308 0.692 0.094 Dy
0.692 0.308 0.594 Dy
0.308 0.692 0.406 Dy
0.841 0.159 0.250 Ag
0.159 0.841 0.750 Ag
0.083 0.917 0.465 Ag
0.917 0.083 0.535 Ag
0.083 0.917 0.035 Ag
0.917 0.083 0.965 Ag
0.065 0.935 0.882 Te
0.935 0.065 0.118 Te
0.065 0.935 0.618 Te
0.935 0.065 0.382 Te
0.678 0.322 0.429 Te
0.322 0.678 0.571 Te
0.678 0.322 0.071 Te
0.322 0.678 0.929 Te
0.246 0.754 0.250 Te
0.754 0.246 0.750 Te
```

---

Record 9
Density functional theory data (PBE-GGA) for a geometry-optimized TlZn3 structure.

Properties
space-group type	Pm-3m
electronic total energy	-1.350	eV per atom

POSCAR file:
```
TlZn3
1.0
-0.988 1.398 3.957
2.356 -3.180 1.712
3.473 2.554 -0.036
Tl Zn
1 3
direct
0.000 0.000 0.000 Tl
0.500 0.000 0.500 Zn
0.500 0.500 0.000 Zn
0.000 0.500 0.500 Zn
```

---

Record 10
Density functional theory data (PBE-GGA) for a geometry-optimized CeHgPd structure.

Properties
space-group type	P-62m
electronic total energy	-4.419	eV per atom

POSCAR file:
```
CeHgPd
1.0
3.919 -6.787 0.000
3.919 6.787 0.000
0.000 0.000 3.911
Ce Hg Pd
3 3 3
direct
0.400 0.400 0.500 Ce
0.600 0.000 0.500 Ce
0.000 0.600 0.500 Ce
0.735 0.735 0.000 Hg
0.265 0.000 0.000 Hg
0.000 0.265 0.000 Hg
0.667 0.333 0.000 Pd
0.333 0.667 0.000 Pd
0.000 0.000 0.500 Pd
```

---

Record 11
Density functional theory data (PBE-GGA) for a geometry-optimized MgSc4Ti2O10 structure.

Properties
space-group type	P1
electronic total energy	-8.555	eV per atom

POSCAR file:
```
MgSc4Ti2O10
1.0
3.894 -0.006 -0.004
-1.955 5.232 -0.164
-0.011 -0.328 10.587
Mg Sc Ti O
1 4 2 10
direct
0.002 0.002 0.697 Mg
0.386 0.772 0.443 Sc
0.298 0.593 0.762 Sc
0.696 0.399 0.258 Sc
0.611 0.222 0.951 Sc
0.374 0.729 0.088 Ti
0.663 0.326 0.553 Ti
0.430 0.844 0.911 O
0.172 0.342 0.587 O
0.273 0.551 0.259 O
0.132 0.258 0.863 O
0.478 0.954 0.636 O
0.804 0.605 0.717 O
0.787 0.584 0.075 O
0.564 0.126 0.390 O
0.526 0.086 0.126 O
0.821 0.643 0.442 O
```

---

Record 12
Density functional theory data (PBE-GGA) for a geometry-optimized UP2H10CO11 structure.

Properties
space-group type	Pnma
electronic total energy	-6.306	eV per atom

POSCAR file:
```
UP2H10CO11
1.0
-0.881 0.318 7.580
6.703 -6.978 1.072
10.671 10.373 0.805
U P H C O
4 8 40 4 44
direct
0.340 0.250 0.938 U
0.840 0.250 0.562 U
0.660 0.750 0.062 U
0.160 0.750 0.438 U
0.545 0.094 0.133 P
0.045 0.406 0.367 P
0.455 0.594 0.867 P
0.955 0.906 0.633 P
0.455 0.906 0.867 P
0.955 0.594 0.633 P
0.545 0.406 0.133 P
0.045 0.094 0.367 P
0.749 0.250 0.067 H
0.249 0.250 0.433 H
0.251 0.750 0.933 H
0.751 0.750 0.567 H
0.764 0.250 0.187 H
0.264 0.250 0.313 H
0.236 0.750 0.813 H
0.736 0.750 0.687 H
0.293 0.169 0.734 H
0.793 0.331 0.766 H
0.707 0.669 0.266 H
0.207 0.831 0.234 H
0.707 0.831 0.266 H
0.207 0.669 0.234 H
0.293 0.331 0.734 H
0.793 0.169 0.766 H
0.524 0.036 0.278 H
0.024 0.464 0.222 H
0.476 0.536 0.722 H
0.976 0.964 0.778 H
0.476 0.964 0.722 H
0.976 0.536 0.778 H
0.524 0.464 0.278 H
0.024 0.036 0.222 H
0.713 0.004 0.386 H
0.213 0.496 0.114 H
0.287 0.504 0.614 H
0.787 0.996 0.886 H
0.287 0.996 0.614 H
0.787 0.504 0.886 H
0.713 0.496 0.386 H
0.213 0.004 0.114 H
0.548 0.903 0.395 H
0.048 0.597 0.105 H
0.452 0.403 0.605 H
0.952 0.097 0.895 H
0.452 0.097 0.605 H
0.952 0.403 0.895 H
0.548 0.597 0.395 H
0.048 0.903 0.105 H
0.672 0.250 0.130 C
0.172 0.250 0.370 C
0.328 0.750 0.870 C
0.828 0.750 0.630 C
0.574 0.250 0.918 O
0.074 0.250 0.582 O
0.426 0.750 0.082 O
0.926 0.750 0.418 O
0.102 0.250 0.957 O
0.602 0.250 0.543 O
0.898 0.750 0.043 O
0.398 0.750 0.457 O
0.329 0.026 0.884 O
0.829 0.474 0.616 O
0.671 0.526 0.116 O
0.171 0.974 0.384 O
0.671 0.974 0.116 O
0.171 0.526 0.384 O
0.329 0.474 0.884 O
0.829 0.026 0.616 O
0.392 0.105 0.066 O
0.892 0.395 0.434 O
0.608 0.605 0.934 O
0.108 0.895 0.566 O
0.608 0.895 0.934 O
0.108 0.605 0.566 O
0.392 0.395 0.066 O
0.892 0.105 0.434 O
0.273 0.250 0.773 O
0.773 0.250 0.727 O
0.727 0.750 0.227 O
0.227 0.750 0.273 O
0.456 0.084 0.228 O
0.956 0.416 0.272 O
0.544 0.584 0.772 O
0.044 0.916 0.728 O
0.544 0.916 0.772 O
0.044 0.584 0.728 O
0.456 0.416 0.228 O
0.956 0.084 0.272 O
0.622 0.953 0.352 O
0.122 0.547 0.148 O
0.378 0.453 0.648 O
0.878 0.047 0.852 O
0.378 0.047 0.648 O
0.878 0.453 0.852 O
0.622 0.547 0.352 O
0.122 0.953 0.148 O
```

---

Record 13
Density functional theory data (PBE-GGA) for a geometry-optimized FeRh2S4 structure.

Properties
space-group type	Fd-3m
electronic total energy	-6.085	eV per atom

POSCAR file:
```
FeRh2S4
1.0
0.000 4.957 4.957
4.957 0.000 4.957
4.957 4.957 0.000
Fe Rh S
2 4 8
direct
0.500 0.500 0.500 Fe
0.750 0.750 0.750 Fe
0.625 0.125 0.125 Rh
0.125 0.125 0.125 Rh
0.125 0.625 0.125 Rh
0.125 0.125 0.625 Rh
0.366 0.366 0.366 S
0.348 0.884 0.884 S
0.884 0.884 0.348 S
0.884 0.348 0.884 S
0.366 0.366 0.902 S
0.366 0.902 0.366 S
0.884 0.884 0.884 S
0.902 0.366 0.366 S
```

---

Record 14
Density functional theory data (PBE-GGA) for a geometry-optimized KHo2Cu3Se5 structure.

Properties
space-group type	Cmcm
electronic total energy	-4.755	eV per atom

POSCAR file:
```
KHo2Cu3Se5
1.0
-6.428 -0.624 3.779
4.624 -2.779 -5.184
7.868 -9.077 11.883
K Ho Cu Se
2 4 6 10
direct
0.938 0.062 0.750 K
0.062 0.938 0.250 K
0.808 0.192 0.093 Ho
0.192 0.808 0.907 Ho
0.808 0.192 0.407 Ho
0.192 0.808 0.593 Ho
0.341 0.659 0.250 Cu
0.659 0.341 0.750 Cu
0.584 0.416 0.031 Cu
0.416 0.584 0.969 Cu
0.584 0.416 0.469 Cu
0.416 0.584 0.531 Cu
0.441 0.559 0.119 Se
0.559 0.441 0.881 Se
0.441 0.559 0.381 Se
0.559 0.441 0.619 Se
0.749 0.251 0.250 Se
0.251 0.749 0.750 Se
0.834 0.166 0.928 Se
0.166 0.834 0.072 Se
0.834 0.166 0.572 Se
0.166 0.834 0.428 Se
```

---

Record 15
Density functional theory data (PBE-GGA) for a geometry-optimized Ca2Al2O5 structure.

Properties
space-group type	C2/m
electronic total energy	-7.032	eV per atom

POSCAR file:
```
Ca2Al2O5
1.0
-5.382 0.000 -0.075
-0.078 0.000 -5.416
-2.730 -7.264 -2.745
Ca Al O
4 4 10
direct
0.632 0.632 0.787 Ca
0.368 0.368 0.213 Ca
0.082 0.081 0.787 Ca
0.918 0.919 0.213 Ca
0.500 0.000 0.000 Al
0.000 0.500 0.000 Al
0.673 0.320 0.500 Al
0.327 0.680 0.500 Al
0.262 0.262 0.976 O
0.247 0.747 0.006 O
0.753 0.253 0.994 O
0.738 0.738 0.024 O
0.668 0.102 0.716 O
0.332 0.898 0.284 O
0.116 0.682 0.716 O
0.884 0.318 0.284 O
0.669 0.658 0.500 O
0.331 0.342 0.500 O
```